Version a
Compound: Sr2Tl2O5
Source: the Materials Project
Functional: PBE
Structure: relaxed

Values from the calculation:
* SG: Cmc2_1 (36)

POSCAR file:
```
Sr2Tl2O5
1.0
1.782 -5.835 0.000
1.782 5.835 0.000
0.000 0.000 14.102
Sr Tl O
4 4 10
Direct
0.033 0.967 0.500
0.213 0.787 0.846
0.787 0.213 0.346
0.967 0.033 0.000
0.236 0.764 0.127
0.489 0.511 0.735
0.511 0.489 0.235
0.764 0.236 0.627
0.121 0.879 0.679
0.160 0.840 0.268
0.318 0.682 0.994
0.407 0.593 0.596
0.440 0.560 0.375
0.560 0.440 0.875
0.593 0.407 0.096
0.682 0.318 0.494
0.840 0.160 0.768
0.879 0.121 0.179
```

---

Version b
Compound: Sr2Tl2O5
Source: the Materials Project
Functional: PBE
Structure: relaxed

Values from the calculation:
* SG: P2_1/c (14)

POSCAR file:
```
Sr2Tl2O5
1.0
6.099 0.000 0.000
0.000 14.124 0.000
-2.014 0.000 6.793
Sr Tl O
8 8 20
Direct
0.046 0.113 0.136
0.046 0.387 0.636
0.437 0.737 0.738
0.437 0.763 0.238
0.563 0.237 0.762
0.563 0.263 0.262
0.954 0.613 0.364
0.954 0.887 0.864
0.045 0.107 0.637
0.045 0.393 0.137
0.500 0.000 0.000
0.500 0.000 0.500
0.500 0.500 0.000
0.500 0.500 0.500
0.955 0.607 0.863
0.955 0.893 0.363
0.141 0.734 0.918
0.141 0.766 0.418
0.208 0.535 0.176
0.208 0.965 0.676
0.233 0.554 0.685
0.233 0.946 0.185
0.334 0.139 0.464
0.334 0.361 0.964
0.350 0.139 0.963
0.350 0.361 0.463
0.650 0.639 0.537
0.650 0.861 0.037
0.666 0.639 0.036
0.666 0.861 0.536
0.767 0.054 0.815
0.767 0.446 0.315
0.792 0.035 0.324
0.792 0.465 0.824
0.859 0.234 0.582
0.859 0.266 0.082
```

---

Most stable structure, least stable structure: version a, version b.

---

Version a
Compound: SrZnO5
Source: the Materials Project
Functional: PBE
Structure: relaxed

Values from the calculation:
* SG: P1 (1)
* total magnetization: 2.00 μB per cell

POSCAR file:
```
SrZnO5
1.0
4.437 0.000 0.000
2.113 4.551 0.000
0.161 2.196 6.449
Sr Zn O
1 1 5
Direct
0.000 0.000 0.000
0.319 0.571 0.594
0.097 0.707 0.343
0.382 0.239 0.908
0.436 0.532 0.871
0.782 0.192 0.376
0.816 0.198 0.561
```

---

Version b
Compound: SrZnO5
Source: the Materials Project
Functional: PBE
Structure: relaxed

Values from the calculation:
* SG: P1 (1)
* total magnetization: 2.01 μB per cell

POSCAR file:
```
SrZnO5
1.0
4.491 0.000 0.000
0.278 5.371 0.000
0.116 2.074 5.201
Sr Zn O
1 1 5
Direct
0.000 0.000 0.000
0.496 0.620 0.441
0.067 0.644 0.537
0.122 0.472 0.086
0.503 0.926 0.144
0.837 0.434 0.096
0.853 0.439 0.628
```

---

Version c
Compound: SrZnO5
Source: the Materials Project
Functional: PBE
Structure: relaxed

Values from the calculation:
* SG: P-1 (2)
* total magnetization: 4.00 μB per cell

POSCAR file:
```
SrZnO5
1.0
5.476 0.000 0.000
-2.253 6.508 0.000
-2.341 -2.364 6.926
Sr Zn O
2 2 10
Direct
0.048 0.476 0.242
0.952 0.524 0.758
0.357 0.028 0.196
0.643 0.972 0.804
0.120 0.750 0.086
0.193 0.199 0.452
0.278 0.719 0.606
0.342 0.247 0.629
0.461 0.669 0.768
0.539 0.331 0.232
0.658 0.753 0.371
0.722 0.281 0.394
0.807 0.801 0.548
0.880 0.250 0.914
```

---

Most stable structure, least stable structure: version c, version a.